Record 1
VASP calculation (GGA-PBE) on a relaxed DyMo6Se8 crystal.

ΔH_f (0 K) ... -14.25 eV/f.u.
Total energy ... -7.208 eV/atom

CIF file:
```
data_DyMo6Se8
_cell_length_a 6.7814
_cell_length_b 6.7814
_cell_length_c 6.7814
_cell_angle_alpha 89.30
_cell_angle_beta 89.30
_cell_angle_gamma 89.30
_space_group_name_H-M_alt 'P 1'
_space_group_IT_number 1
_space_group_name_Hall 'P 1'
loop_
_atom_site_label
_atom_site_fract_x
_atom_site_fract_y
_atom_site_fract_z
_atom_site_occupancy
Dy1 0.0000 0.0000 0.0000 1
Mo1 0.2338 0.4230 0.5588 1
Mo2 0.4230 0.5588 0.2338 1
Mo3 0.4412 0.7662 0.5770 1
Mo4 0.5588 0.2338 0.4230 1
Mo5 0.5770 0.4412 0.7662 1
Mo6 0.7662 0.5770 0.4412 1
Se1 0.1225 0.7558 0.3700 1
Se2 0.2367 0.2367 0.2367 1
Se3 0.2442 0.6300 0.8775 1
Se4 0.3700 0.1225 0.7558 1
Se5 0.6300 0.8775 0.2442 1
Se6 0.7558 0.3700 0.1225 1
Se7 0.7633 0.7633 0.7633 1
Se8 0.8775 0.2442 0.6300 1
```

***

Record 2
VASP calculation (GGA-PBE) on a relaxed Dy2Si4Mo3 crystal.

ΔH_f (0 K) ... -6.06 eV/f.u.
Total energy ... -7.724 eV/atom

CIF file:
```
data_Dy2Si4Mo3
_cell_length_a 6.8612
_cell_length_b 6.9225
_cell_length_c 6.7478
_cell_angle_alpha 90.00
_cell_angle_beta 108.85
_cell_angle_gamma 90.00
_space_group_name_H-M_alt 'P 1'
_space_group_IT_number 1
_space_group_name_Hall 'P 1'
loop_
_atom_site_label
_atom_site_fract_x
_atom_site_fract_y
_atom_site_fract_z
_atom_site_occupancy
Dy1 0.1906 0.1688 0.0607 1
Dy2 0.1906 0.3312 0.5607 1
Dy3 0.8094 0.6688 0.4393 1
Dy4 0.8094 0.8312 0.9393 1
Si1 0.0908 0.5445 0.8690 1
Si2 0.0908 0.9555 0.3690 1
Si3 0.4951 0.6321 0.6293 1
Si4 0.4951 0.8679 0.1293 1
Si5 0.5049 0.1321 0.8707 1
Si6 0.5049 0.3679 0.3707 1
Si7 0.9092 0.0445 0.6310 1
Si8 0.9092 0.4555 0.1310 1
Mo1 0.2490 0.6626 0.2502 1
Mo2 0.2490 0.8374 0.7502 1
Mo3 0.5000 0.0000 0.5000 1
Mo4 0.5000 0.5000 0.0000 1
Mo5 0.7510 0.1626 0.2498 1
Mo6 0.7510 0.3374 0.7498 1
```

***

Record 3
VASP calculation (GGA-PBE) on a relaxed Dy3S3N crystal.

ΔH_f (0 K) ... -15.76 eV/f.u.
Total energy ... -6.923 eV/atom

CIF file:
```
data_Dy3S3N
_cell_length_a 11.9391
_cell_length_b 3.8292
_cell_length_c 12.9031
_cell_angle_alpha 90.00
_cell_angle_beta 90.00
_cell_angle_gamma 90.00
_space_group_name_H-M_alt 'P 1'
_space_group_IT_number 1
_space_group_name_Hall 'P 1'
loop_
_atom_site_label
_atom_site_fract_x
_atom_site_fract_y
_atom_site_fract_z
_atom_site_occupancy
Dy1 0.0458 0.2500 0.1430 1
Dy2 0.0683 0.2500 0.6321 1
Dy3 0.2130 0.2500 0.8603 1
Dy4 0.2870 0.7500 0.3603 1
Dy5 0.4317 0.7500 0.1321 1
Dy6 0.4542 0.7500 0.6430 1
Dy7 0.5458 0.2500 0.3570 1
Dy8 0.5683 0.2500 0.8679 1
Dy9 0.7130 0.2500 0.6397 1
Dy10 0.7870 0.7500 0.1397 1
Dy11 0.9317 0.7500 0.3679 1
Dy12 0.9542 0.7500 0.8570 1
S1 0.0919 0.2500 0.4008 1
S2 0.1342 0.7500 0.9915 1
S3 0.2262 0.7500 0.6928 1
S4 0.2738 0.2500 0.1928 1
S5 0.3658 0.2500 0.4915 1
S6 0.4081 0.7500 0.9008 1
S7 0.5919 0.2500 0.0992 1
S8 0.6342 0.7500 0.5085 1
S9 0.7262 0.7500 0.8072 1
S10 0.7738 0.2500 0.3072 1
S11 0.8658 0.2500 0.0085 1
S12 0.9081 0.7500 0.5992 1
N1 0.0364 0.2500 0.7983 1
N2 0.4636 0.7500 0.2983 1
N3 0.5364 0.2500 0.7017 1
N4 0.9636 0.7500 0.2017 1
```

***

Record 4
VASP calculation (GGA-PBE) on a relaxed Dy3Se3N crystal.

ΔH_f (0 K) ... -13.24 eV/f.u.
Total energy ... -6.503 eV/atom

CIF file:
```
data_Dy3Se3N
_cell_length_a 12.5725
_cell_length_b 3.9502
_cell_length_c 13.2214
_cell_angle_alpha 90.00
_cell_angle_beta 90.00
_cell_angle_gamma 90.00
_space_group_name_H-M_alt 'P 1'
_space_group_IT_number 1
_space_group_name_Hall 'P 1'
loop_
_atom_site_label
_atom_site_fract_x
_atom_site_fract_y
_atom_site_fract_z
_atom_site_occupancy
Dy1 0.0422 0.2500 0.1500 1
Dy2 0.0624 0.2500 0.6341 1
Dy3 0.2026 0.2500 0.8574 1
Dy4 0.2974 0.7500 0.3574 1
Dy5 0.4376 0.7500 0.1341 1
Dy6 0.4578 0.7500 0.6500 1
Dy7 0.5422 0.2500 0.3500 1
Dy8 0.5624 0.2500 0.8659 1
Dy9 0.7026 0.2500 0.6426 1
Dy10 0.7974 0.7500 0.1426 1
Dy11 0.9376 0.7500 0.3659 1
Dy12 0.9578 0.7500 0.8500 1
Se1 0.0967 0.2500 0.3981 1
Se2 0.1302 0.7500 0.9942 1
Se3 0.2246 0.7500 0.6879 1
Se4 0.2754 0.2500 0.1879 1
Se5 0.3698 0.2500 0.4942 1
Se6 0.4033 0.7500 0.8981 1
Se7 0.5967 0.2500 0.1019 1
Se8 0.6302 0.7500 0.5058 1
Se9 0.7246 0.7500 0.8121 1
Se10 0.7754 0.2500 0.3121 1
Se11 0.8698 0.2500 0.0058 1
Se12 0.9033 0.7500 0.6019 1
N1 0.0361 0.2500 0.7970 1
N2 0.4639 0.7500 0.2970 1
N3 0.5361 0.2500 0.7030 1
N4 0.9639 0.7500 0.2030 1
```

***

Record 5
VASP calculation (GGA-PBE) on a relaxed Dy3Te3N crystal.

ΔH_f (0 K) ... -10.89 eV/f.u.
Total energy ... -6.017 eV/atom

CIF file:
```
data_Dy3Te3N
_cell_length_a 8.1319
_cell_length_b 12.0097
_cell_length_c 8.6783
_cell_angle_alpha 90.00
_cell_angle_beta 109.03
_cell_angle_gamma 90.00
_space_group_name_H-M_alt 'P 1'
_space_group_IT_number 1
_space_group_name_Hall 'P 1'
loop_
_atom_site_label
_atom_site_fract_x
_atom_site_fract_y
_atom_site_fract_z
_atom_site_occupancy
Dy1 0.1027 0.0223 0.3626 1
Dy2 0.1027 0.4777 0.8626 1
Dy3 0.2668 0.7087 0.1573 1
Dy4 0.2668 0.7913 0.6573 1
Dy5 0.3392 0.0888 0.7950 1
Dy6 0.3392 0.4112 0.2950 1
Dy7 0.6607 0.5888 0.7050 1
Dy8 0.6607 0.9112 0.2050 1
Dy9 0.7332 0.2087 0.3427 1
Dy10 0.7332 0.2913 0.8427 1
Dy11 0.8973 0.5223 0.1374 1
Dy12 0.8973 0.9777 0.6374 1
Te1 0.0082 0.2345 0.6848 1
Te2 0.0082 0.2655 0.1848 1
Te3 0.2761 0.5212 0.5848 1
Te4 0.2761 0.9788 0.0848 1
Te5 0.4547 0.1896 0.5152 1
Te6 0.4547 0.3104 0.0152 1
Te7 0.5453 0.6896 0.9848 1
Te8 0.5453 0.8104 0.4848 1
Te9 0.7239 0.0212 0.9152 1
Te10 0.7239 0.4788 0.4152 1
Te11 0.9918 0.7345 0.8152 1
Te12 0.9918 0.7655 0.3152 1
N1 0.1725 0.5343 0.1235 1
N2 0.1725 0.9657 0.6235 1
N3 0.8275 0.0343 0.3765 1
N4 0.8275 0.4657 0.8765 1
```

***

Record 6
VASP calculation (GGA-PBE) on a relaxed DyUN2 crystal.

ΔH_f (0 K) ... -6.70 eV/f.u.
Total energy ... -9.636 eV/atom

CIF file:
```
data_DyUN2
_cell_length_a 5.9790
_cell_length_b 5.9790
_cell_length_c 5.9790
_cell_angle_alpha 33.41
_cell_angle_beta 33.41
_cell_angle_gamma 33.41
_space_group_name_H-M_alt 'P 1'
_space_group_IT_number 1
_space_group_name_Hall 'P 1'
loop_
_atom_site_label
_atom_site_fract_x
_atom_site_fract_y
_atom_site_fract_z
_atom_site_occupancy
Dy1 0.0000 0.0000 0.0000 1
U1 0.5000 0.5000 0.5000 1
N1 0.2446 0.2446 0.2446 1
N2 0.7554 0.7554 0.7554 1
```

***

Record 7
VASP calculation (GGA-PBE) on a relaxed Na3DyTi2Nb2O12 crystal.

ΔH_f (0 K) ... -62.85 eV/f.u.
Polymorph energy (0 for the lowest one) ... 0.0 meV per atom
Total energy ... -7.927 eV/atom

CIF file:
```
data_Na3DyTi2Nb2O12
_cell_length_a 15.4761
_cell_length_b 5.4723
_cell_length_c 5.6328
_cell_angle_alpha 90.00
_cell_angle_beta 90.00
_cell_angle_gamma 90.00
_space_group_name_H-M_alt 'P 1'
_space_group_IT_number 1
_space_group_name_Hall 'P 1'
loop_
_atom_site_label
_atom_site_fract_x
_atom_site_fract_y
_atom_site_fract_z
_atom_site_occupancy
Na1 0.0000 0.2421 0.0000 1
Na2 0.0000 0.7579 0.5000 1
Na3 0.2517 0.2541 0.9542 1
Na4 0.2517 0.7459 0.4542 1
Na5 0.7483 0.2541 0.9542 1
Na6 0.7483 0.7459 0.4542 1
Dy1 0.5000 0.2355 0.0552 1
Dy2 0.5000 0.7645 0.5552 1
Ti1 0.3735 0.2652 0.5169 1
Ti2 0.3735 0.7348 0.0169 1
Ti3 0.6265 0.2652 0.5169 1
Ti4 0.6265 0.7348 0.0169 1
Nb1 0.1274 0.2475 0.4683 1
Nb2 0.1274 0.7525 0.9683 1
Nb3 0.8726 0.2475 0.4683 1
Nb4 0.8726 0.7525 0.9683 1
O1 0.0000 0.3282 0.4775 1
O2 0.0000 0.6718 0.9775 1
O3 0.1069 0.0353 0.7727 1
O4 0.1069 0.9647 0.2727 1
O5 0.1472 0.4671 0.2082 1
O6 0.1472 0.5329 0.7082 1
O7 0.2545 0.1774 0.5078 1
O8 0.2545 0.8226 0.0078 1
O9 0.3637 0.4466 0.1812 1
O10 0.3637 0.5534 0.6812 1
O11 0.4074 0.0489 0.7687 1
O12 0.4074 0.9511 0.2687 1
O13 0.5000 0.3484 0.4522 1
O14 0.5000 0.6516 0.9522 1
O15 0.5926 0.0489 0.7687 1
O16 0.5926 0.9511 0.2687 1
O17 0.6363 0.4466 0.1812 1
O18 0.6363 0.5534 0.6812 1
O19 0.7455 0.1774 0.5078 1
O20 0.7455 0.8226 0.0078 1
O21 0.8528 0.4671 0.2082 1
O22 0.8528 0.5329 0.7082 1
O23 0.8931 0.0353 0.7727 1
O24 0.8931 0.9647 0.2727 1
```

***

Record 8
VASP calculation (GGA-PBE) on a relaxed Na3DyTi2Nb2O12 crystal.

ΔH_f (0 K) ... -62.74 eV/f.u.
Polymorph energy (0 for the lowest one) ... 5.3 meV per atom
Total energy ... -7.922 eV/atom

CIF file:
```
data_Na3DyTi2Nb2O12
_cell_length_a 5.4419
_cell_length_b 5.5896
_cell_length_c 7.7631
_cell_angle_alpha 89.87
_cell_angle_beta 89.96
_cell_angle_gamma 89.21
_space_group_name_H-M_alt 'P 1'
_space_group_IT_number 1
_space_group_name_Hall 'P 1'
loop_
_atom_site_label
_atom_site_fract_x
_atom_site_fract_y
_atom_site_fract_z
_atom_site_occupancy
Na1 0.0000 0.0000 0.0000 1
Na2 0.0184 0.9349 0.5014 1
Na3 0.5134 0.4915 0.0011 1
Dy1 0.5002 0.4074 0.5015 1
Ti1 0.5135 0.9472 0.7443 1
Ti2 0.9985 0.4532 0.2586 1
Nb1 0.0035 0.4631 0.7632 1
Nb2 0.5128 0.9485 0.2398 1
O1 0.0796 0.4553 0.0046 1
O2 0.2297 0.2061 0.3040 1
O3 0.2338 0.2031 0.6992 1
O4 0.3122 0.6796 0.3056 1
O5 0.3144 0.6821 0.6980 1
O6 0.4282 0.9593 0.9985 1
O7 0.5873 0.0019 0.5046 1
O8 0.7130 0.2723 0.7775 1
O9 0.7153 0.2739 0.2266 1
O10 0.8008 0.7721 0.7889 1
O11 0.8078 0.7676 0.2114 1
O12 0.9113 0.4991 0.4977 1
```